1.
LiMn2CuRu2O8 (PBE with a Hubbard U, optimized geometry); raw total energy = -6.900 eV per atom; symmetry = No. 44; corrected total energy (MP2020 scheme) = -7.530 eV per atom; size of the total moment = 8.74 μB per formula unit; calculated formation energy = -22.96 eV/f.u.
1.0
-2.848 3.011 4.501
2.848 -3.011 4.501
2.848 3.011 -4.501
Li Mn Cu Ru O
1 2 1 2 8
Cartesian
0.000 0.000 0.000
2.848 1.517 -0.954
0.000 1.494 3.547
2.848 0.000 2.355
1.273 3.011 1.262
1.574 0.000 5.763
0.000 1.482 1.289
1.501 3.011 -0.808
1.346 0.000 3.693
2.848 1.701 1.267
0.000 1.310 5.768
-1.268 3.011 3.310
1.268 3.011 3.310
0.000 4.540 1.289

=====

2.
Li4Mn3Cu2Sb3O16 (PBE with a Hubbard U, optimized geometry); raw total energy = -6.092 eV per atom; symmetry = No. 1; corrected total energy (MP2020 scheme) = -6.663 eV per atom; size of the total moment = 12.04 μB per formula unit; calculated formation energy = -51.69 eV/f.u.
1.0
6.080 0.000 0.000
-2.977 5.336 0.000
-0.110 -0.226 9.909
Li Mn Cu Sb O
4 3 2 3 16
Cartesian
0.000 0.000 0.000
0.036 -0.103 4.845
0.073 3.477 1.179
3.036 1.587 5.954
1.580 4.284 7.701
4.623 0.828 2.784
3.149 3.480 2.751
0.201 3.524 4.691
3.251 1.828 0.114
0.038 1.652 7.732
-1.427 4.271 7.732
1.644 0.843 2.758
0.051 0.090 1.773
-1.384 2.577 6.624
0.142 -0.069 6.649
0.094 1.619 3.865
-1.484 4.446 3.819
-0.070 3.310 8.918
1.448 0.659 8.875
0.059 4.993 6.650
1.409 2.587 6.652
3.117 0.088 1.635
1.765 2.513 1.642
3.147 1.563 3.906
1.758 4.457 3.796
4.697 0.672 8.768
3.100 3.556 8.769
4.447 2.464 1.651

=====

3.
Li4Mn3Cu3Sb2O16 (PBE with a Hubbard U, optimized geometry); raw total energy = -6.018 eV per atom; symmetry = No. 1; corrected total energy (MP2020 scheme) = -6.590 eV per atom; size of the total moment = 10.27 μB per formula unit; calculated formation energy = -49.66 eV/f.u.
1.0
5.875 0.000 0.000
-2.848 5.228 0.000
-0.181 -0.506 9.728
Li Mn Cu Sb O
4 3 3 2 16
Cartesian
0.000 0.000 0.000
-0.101 -0.183 4.938
-0.071 3.278 4.155
2.802 1.134 8.958
-0.106 1.426 7.138
1.459 0.791 2.261
4.362 0.776 2.228
-1.520 3.987 7.077
1.381 3.980 7.086
2.946 3.349 2.235
0.079 3.446 0.030
2.844 1.582 4.911
-0.156 -0.354 7.891
-0.038 -0.082 3.087
-1.406 2.069 8.466
-1.387 4.385 1.054
0.078 1.695 1.137
-0.070 3.106 6.201
1.332 0.739 5.945
1.163 2.034 8.453
-0.054 4.491 8.393
1.485 2.270 3.515
2.773 0.020 3.539
2.908 1.593 1.295
1.580 4.312 1.034
2.840 3.335 5.885
4.337 0.739 5.924
4.182 2.356 3.551

=====

4.
Li4Mn3Cu2Sn3O16 (PBE with a Hubbard U, optimized geometry); raw total energy = -6.072 eV per atom; symmetry = No. 8; corrected total energy (MP2020 scheme) = -6.644 eV per atom; size of the total moment = 11.00 μB per formula unit; calculated formation energy = -51.50 eV/f.u.
1.0
5.263 -3.052 0.000
5.263 3.052 0.000
-0.493 0.000 9.807
Li Mn Cu Sn O
4 3 2 3 16
Cartesian
0.000 0.000 0.000
-0.189 0.000 4.836
3.306 0.000 5.897
7.102 0.000 1.079
4.342 1.511 2.737
4.342 -1.511 2.737
8.484 0.000 7.628
3.633 0.000 0.089
6.862 0.000 4.916
1.760 0.000 2.758
5.872 1.499 7.650
5.872 -1.499 7.650
2.777 1.412 1.616
4.057 1.652 8.711
1.375 0.000 8.843
5.982 1.574 3.853
3.587 0.000 3.802
5.030 0.000 1.562
2.777 -1.412 1.616
5.127 0.000 6.476
7.596 1.322 6.432
6.850 0.000 8.767
4.057 -1.652 8.711
5.982 -1.574 3.853
8.813 0.000 3.723
7.596 -1.322 6.432
10.167 0.000 6.627
10.414 0.000 1.795

=====

5.
Li4Mn3Cu3Sn2O16 (PBE with a Hubbard U, optimized geometry); raw total energy = -5.998 eV per atom; symmetry = No. 1; corrected total energy (MP2020 scheme) = -6.569 eV per atom; size of the total moment = 13.99 μB per formula unit; calculated formation energy = -49.32 eV/f.u.
1.0
5.900 0.000 0.000
2.942 5.170 0.000
0.004 0.178 9.681
Li Mn Cu Sn O
4 3 3 2 16
Cartesian
0.000 0.000 0.000
5.901 0.090 4.799
2.948 1.698 0.988
5.897 3.510 5.766
1.499 1.007 7.525
4.403 1.009 7.524
5.900 1.803 2.680
2.947 3.547 7.522
4.454 4.344 2.691
7.333 4.341 2.694
2.948 1.856 4.810
5.893 3.480 0.028
1.588 2.519 6.341
1.394 0.956 3.800
2.951 3.629 3.827
4.373 4.560 8.637
2.952 1.777 8.537
2.951 0.273 6.402
4.306 2.525 6.342
5.887 5.006 1.474
4.594 2.608 1.479
5.897 3.418 3.720
4.503 0.955 3.799
7.422 4.557 8.632
5.899 1.821 8.577
7.202 2.610 1.473
5.892 0.102 1.806
5.903 0.199 6.621

=====

6.
Li4Mn2Cu3Sn3O16 (PBE with a Hubbard U, optimized geometry); raw total energy = -5.844 eV per atom; symmetry = No. 8; corrected total energy (MP2020 scheme) = -6.356 eV per atom; size of the total moment = 10.38 μB per formula unit; calculated formation energy = -48.51 eV/f.u.
1.0
5.217 -3.057 0.000
5.217 3.057 0.000
-0.034 0.000 9.588
Li Mn Cu Sn O
4 2 3 3 16
Cartesian
0.000 0.000 0.000
0.033 0.000 4.923
3.734 0.000 4.018
7.266 0.000 8.693
3.790 0.000 9.541
7.201 0.000 4.848
4.570 1.486 6.967
4.570 -1.486 6.967
8.912 0.000 2.187
2.002 0.000 6.953
6.356 1.505 2.175
6.356 -1.505 2.175
0.141 0.000 7.801
0.167 0.000 3.111
2.982 1.319 8.298
2.002 0.000 1.048
4.628 1.478 1.007
6.310 1.523 5.822
3.796 0.000 5.970
2.982 -1.319 8.298
5.258 0.000 8.310
5.634 0.000 3.468
7.930 1.344 3.547
4.628 -1.478 1.007
7.287 0.000 1.101
8.798 0.000 5.862
6.310 -1.523 5.822
7.930 -1.344 3.547

=====

Q: Which value of raw total energy does entry 1 give?
A: -6.900 eV per atom

=====

Please write out number 1 again, unchanged.
LiMn2CuRu2O8 (PBE with a Hubbard U, optimized geometry); raw total energy = -6.900 eV per atom; symmetry = No. 44; corrected total energy (MP2020 scheme) = -7.530 eV per atom; size of the total moment = 8.74 μB per formula unit; calculated formation energy = -22.96 eV/f.u.
1.0
-2.848 3.011 4.501
2.848 -3.011 4.501
2.848 3.011 -4.501
Li Mn Cu Ru O
1 2 1 2 8
Cartesian
0.000 0.000 0.000
2.848 1.517 -0.954
0.000 1.494 3.547
2.848 0.000 2.355
1.273 3.011 1.262
1.574 0.000 5.763
0.000 1.482 1.289
1.501 3.011 -0.808
1.346 0.000 3.693
2.848 1.701 1.267
0.000 1.310 5.768
-1.268 3.011 3.310
1.268 3.011 3.310
0.000 4.540 1.289